Entry from Materials Project: BaSr3Co4O12 after structural relaxation (GGA+U).

Computed properties:
- MP2020-corrected energy (eV/atom) = -6.77
- polymorph energy (0 for the lowest one) (meV per atom) = 5

abc: 4.7944 5.5418 9.5540
angles: 90.01 90.60 90.44
Closest atoms and distances in Å follow each position.
Fractional positions:
Ba (0.0000, 0.0000, 0.0000)  12 O 2.78-3.04
Sr (0.0040, 0.4981, 0.4984)  11 O 2.68-2.96
Sr (0.4973, 0.5002, 0.8282)  12 O 2.75-3.02
Sr (0.5066, 0.9980, 0.3337)  12 O 2.72-3.01
Co (0.2506, 0.9992, 0.6611)  6 O 1.88-1.90
Co (0.2517, 0.4987, 0.1704)  6 O 1.86-1.90
Co (0.7517, 0.4988, 0.1703)  6 O 1.87-1.90
Co (0.7515, 0.9991, 0.6613)  6 O 1.85-1.92
O (0.0014, 0.2706, 0.2507)  2 Co 1.90
O (0.0018, 0.5002, 0.0192)  2 Co 1.87-1.89
O (0.0021, 0.7226, 0.2489)  2 Co 1.87-1.89
O (0.0017, 0.7680, 0.7357)  2 Co 1.89
O (0.0106, 0.2336, 0.7354)  2 Co 1.89-1.92
O (0.4925, 0.7682, 0.5857)  2 Co 1.88-1.91
O (0.5011, 0.2269, 0.5853)  2 Co 1.89
O (0.5013, 0.2736, 0.0932)  2 Co 1.87-1.89
O (0.5022, 0.4986, 0.3205)  2 Co 1.86-1.88
O (0.5019, 0.7285, 0.0916)  2 Co 1.90
O (0.5092, 0.0002, 0.8129)  2 Co 1.87-1.90
O (0.9909, 0.9981, 0.5101)  2 Co 1.85-1.90